Entry 1:
ZnCu15H24Cl8O24: optimized geometry, GGA-PBE.

Values from the calculation:
* DFT formation energy: -1021 meV/atom
* crystal system: trigonal

Cell: 18.912 18.912 18.912 Å, 21.22 21.22 21.22°
Fractional coordinates of all 72 atoms:
Zn: 0.500 0.500 0.500
Cu: 0.125 0.625 0.125
Cu: 0.375 0.874 0.375
Cu: 0.875 0.375 0.875
Cu: 0.625 0.126 0.625
Cu: 0.375 0.375 0.874
Cu: 0.625 0.625 0.126
Cu: 0.125 0.125 0.625
Cu: 0.875 0.875 0.375
Cu: 0.625 0.125 0.125
Cu: 0.874 0.375 0.375
Cu: 0.375 0.875 0.875
Cu: 0.126 0.625 0.625
Cu: 0.250 0.250 0.250
Cu: 0.000 0.000 0.000
Cu: 0.750 0.750 0.750
H: 0.468 0.870 0.468
H: 0.720 0.117 0.720
H: 0.219 0.620 0.219
H: 0.968 0.372 0.968
H: 0.468 0.468 0.870
H: 0.720 0.720 0.117
H: 0.219 0.219 0.620
H: 0.968 0.968 0.372
H: 0.870 0.468 0.468
H: 0.117 0.720 0.720
H: 0.620 0.219 0.219
H: 0.372 0.968 0.968
H: 0.032 0.628 0.032
H: 0.280 0.883 0.280
H: 0.781 0.380 0.781
H: 0.532 0.130 0.532
H: 0.032 0.032 0.628
H: 0.280 0.280 0.883
H: 0.781 0.781 0.380
H: 0.532 0.532 0.130
H: 0.628 0.032 0.032
H: 0.883 0.280 0.280
H: 0.380 0.781 0.781
H: 0.130 0.532 0.532
Cl: 0.330 0.330 0.330
Cl: 0.580 0.580 0.580
Cl: 0.080 0.080 0.080
Cl: 0.830 0.830 0.830
Cl: 0.170 0.170 0.170
Cl: 0.420 0.420 0.420
Cl: 0.920 0.920 0.920
Cl: 0.670 0.670 0.670
O: 0.401 0.028 0.401
O: 0.654 0.274 0.654
O: 0.151 0.778 0.151
O: 0.900 0.530 0.900
O: 0.401 0.401 0.028
O: 0.654 0.654 0.274
O: 0.151 0.151 0.778
O: 0.900 0.900 0.530
O: 0.028 0.401 0.401
O: 0.274 0.654 0.654
O: 0.778 0.151 0.151
O: 0.530 0.900 0.900
O: 0.100 0.470 0.100
O: 0.346 0.726 0.346
O: 0.849 0.222 0.849
O: 0.599 0.972 0.599
O: 0.100 0.100 0.470
O: 0.346 0.346 0.726
O: 0.849 0.849 0.222
O: 0.599 0.599 0.972
O: 0.470 0.100 0.100
O: 0.726 0.346 0.346
O: 0.222 0.849 0.849
O: 0.972 0.599 0.599



Entry 2:
CoNi2S4: optimized geometry, GGA-PBE.

Values from the calculation:
* DFT formation energy: -715 meV/atom
* crystal system: orthorhombic

Cell: 6.626 6.626 6.626 Å, 120.18 119.81 90.00°
Fractional coordinates of all 14 atoms:
Co: 0.500 0.000 0.000
Co: 0.500 0.500 0.500
Ni: 0.124 0.374 0.750
Ni: 0.000 0.000 0.000
Ni: 0.500 0.000 0.500
Ni: 0.876 0.626 0.250
S: 0.261 0.776 0.016
S: 0.261 0.245 0.484
S: 0.264 0.242 0.021
S: 0.721 0.242 0.479
S: 0.279 0.758 0.521
S: 0.736 0.758 0.979
S: 0.739 0.755 0.516
S: 0.739 0.224 0.984



Entry 3:
Cs2YAuI6: optimized geometry, GGA-PBE.

Values from the calculation:
* DFT formation energy: -1369 meV/atom
* crystal system: cubic

Cell: 8.598 8.598 8.598 Å, 60.00 60.00 60.00°
Fractional coordinates of all 10 atoms:
Cs: 0.750 0.750 0.750
Cs: 0.250 0.250 0.250
Y: 0.000 0.000 0.000
Au: 0.500 0.500 0.500
I: 0.750 0.250 0.250
I: 0.250 0.250 0.750
I: 0.250 0.750 0.750
I: 0.250 0.750 0.250
I: 0.750 0.250 0.750
I: 0.750 0.750 0.250



Entry 4:
La2CuN2Cl2: optimized geometry, GGA-PBE.

Values from the calculation:
* DFT formation energy: -1560 meV/atom
* crystal system: tetragonal

Cell: 4.000 4.000 8.646 Å, 103.37 103.37 90.00°
Fractional coordinates of all 7 atoms:
La: 0.402 0.402 0.804
La: 0.598 0.598 0.196
Cu: 0.000 0.000 0.000
N: 0.500 0.000 0.000
N: 0.000 0.500 0.000
Cl: 0.184 0.184 0.369
Cl: 0.816 0.816 0.631



Entry 5:
Mg3Ga: optimized geometry, GGA-PBE.

Values from the calculation:
* DFT formation energy: -36 meV/atom
* crystal system: hexagonal

Cell: 3.171 3.171 9.776 Å, 90.00 90.00 120.00°
Fractional coordinates of all 4 atoms:
Mg: 0.667 0.333 0.000
Mg: 0.000 0.000 0.742
Mg: 0.000 0.000 0.258
Ga: 0.667 0.333 0.500



Entry 6:
K2SrCl4: optimized geometry, GGA-PBE.

Values from the calculation:
* DFT formation energy: -2505 meV/atom
* excess energy over the best structure of this formula in the dataset: 0.0 meV per atom
* crystal system: monoclinic

Cell: 13.155 8.076 8.175 Å, 70.15 90.00 90.00°
Fractional coordinates of all 28 atoms:
K: 0.945 0.309 0.823
K: 0.440 0.820 0.303
K: 0.810 0.943 0.428
K: 0.627 0.257 0.997
K: 0.560 0.820 0.803
K: 0.190 0.943 0.928
K: 0.055 0.309 0.323
K: 0.373 0.257 0.497
Sr: 0.307 0.422 0.950
Sr: 0.693 0.422 0.450
Sr: 0.123 0.746 0.487
Sr: 0.877 0.746 0.987
Cl: 0.757 0.618 0.752
Cl: 0.693 0.779 0.183
Cl: 0.239 0.111 0.252
Cl: 0.582 0.099 0.421
Cl: 0.179 0.349 0.685
Cl: 0.517 0.502 0.615
Cl: 0.821 0.349 0.185
Cl: 0.067 0.572 0.941
Cl: 0.483 0.502 0.115
Cl: 0.933 0.572 0.441
Cl: 0.994 0.973 0.136
Cl: 0.307 0.779 0.683
Cl: 0.006 0.973 0.636
Cl: 0.761 0.111 0.752
Cl: 0.418 0.099 0.921
Cl: 0.243 0.618 0.252



Entry 7:
CsSbPO4F3: optimized geometry, GGA-PBE.

Values from the calculation:
* DFT formation energy: -2582 meV/atom
* crystal system: monoclinic

Cell: 5.748 10.251 12.886 Å, 69.62 90.00 90.00°
Fractional coordinates of all 40 atoms:
Cs: 0.257 0.344 0.866
Cs: 0.757 0.656 0.634
Cs: 0.743 0.656 0.134
Cs: 0.243 0.344 0.366
Sb: 0.227 0.781 0.863
Sb: 0.727 0.219 0.637
Sb: 0.773 0.219 0.137
Sb: 0.273 0.781 0.363
P: 0.231 0.074 0.676
P: 0.731 0.926 0.824
P: 0.769 0.926 0.324
P: 0.269 0.074 0.176
O: 0.015 0.134 0.596
O: 0.515 0.866 0.904
O: 0.985 0.866 0.404
O: 0.485 0.134 0.096
O: 0.447 0.128 0.595
O: 0.947 0.872 0.905
O: 0.553 0.872 0.405
O: 0.053 0.128 0.095
O: 0.226 0.909 0.705
O: 0.726 0.091 0.795
O: 0.774 0.091 0.295
O: 0.274 0.909 0.205
O: 0.235 0.111 0.778
O: 0.735 0.889 0.722
O: 0.765 0.889 0.222
O: 0.265 0.111 0.278
F: 0.263 0.667 0.519
F: 0.763 0.333 0.981
F: 0.737 0.333 0.481
F: 0.237 0.667 0.019
F: 0.003 0.649 0.844
F: 0.503 0.351 0.656
F: 0.997 0.351 0.156
F: 0.497 0.649 0.344
F: 0.434 0.654 0.826
F: 0.934 0.346 0.674
F: 0.566 0.346 0.174
F: 0.066 0.654 0.326



Entry 8:
ErCu4Au: optimized geometry, GGA-PBE.

Values from the calculation:
* DFT formation energy: -351 meV/atom
* crystal system: cubic

Cell: 5.015 5.015 5.015 Å, 60.00 60.00 60.00°
Fractional coordinates of all 6 atoms:
Er: 0.000 0.000 0.000
Cu: 0.624 0.624 0.127
Cu: 0.624 0.127 0.624
Cu: 0.127 0.624 0.624
Cu: 0.624 0.624 0.624
Au: 0.250 0.250 0.250



Entry 9:
K2SbCl5: optimized geometry, GGA-PBE.

Values from the calculation:
* DFT formation energy: -1824 meV/atom
* crystal system: monoclinic

Cell: 12.768 9.075 9.096 Å, 70.86 90.00 90.00°
Fractional coordinates of all 32 atoms:
K: 0.672 0.905 0.179
K: 0.131 0.156 0.369
K: 0.631 0.344 0.631
K: 0.869 0.844 0.631
K: 0.828 0.405 0.179
K: 0.328 0.095 0.821
K: 0.369 0.656 0.369
K: 0.172 0.595 0.821
Sb: 0.496 0.293 0.192
Sb: 0.996 0.207 0.808
Sb: 0.504 0.707 0.808
Sb: 0.004 0.793 0.192
Cl: 0.886 0.639 0.392
Cl: 0.425 0.035 0.171
Cl: 0.925 0.465 0.829
Cl: 0.575 0.965 0.829
Cl: 0.906 0.041 0.247
Cl: 0.406 0.459 0.753
Cl: 0.094 0.959 0.753
Cl: 0.594 0.541 0.247
Cl: 0.849 0.787 0.997
Cl: 0.349 0.713 0.003
Cl: 0.151 0.213 0.003
Cl: 0.651 0.287 0.997
Cl: 0.139 0.791 0.413
Cl: 0.614 0.139 0.392
Cl: 0.861 0.209 0.587
Cl: 0.361 0.291 0.413
Cl: 0.639 0.709 0.587
Cl: 0.386 0.861 0.608
Cl: 0.114 0.361 0.608
Cl: 0.075 0.535 0.171



Entry 10:
Te4Mo3WSe2S2: optimized geometry, GGA-PBE.

Values from the calculation:
* DFT formation energy: -501 meV/atom
* excess energy over the best structure of this formula in the dataset: 35.3 meV per atom
* crystal system: trigonal

Cell: 3.399 3.399 38.699 Å, 90.00 90.00 120.00°
Fractional coordinates of all 12 atoms:
Te: 0.333 0.667 0.330
Te: 0.333 0.667 0.706
Te: 0.333 0.667 0.233
Te: 0.333 0.667 0.609
Mo: 0.333 0.667 0.094
Mo: 0.333 0.667 0.470
Mo: 0.667 0.333 0.658
W: 0.667 0.333 0.282
Se: 0.667 0.333 0.051
Se: 0.667 0.333 0.137
S: 0.667 0.333 0.431
S: 0.667 0.333 0.509



Entry 11:
Ga2RhC4Cl7O4: optimized geometry, GGA-PBE.

Values from the calculation:
* DFT formation energy: -1001 meV/atom
* crystal system: triclinic

Cell: 10.035 10.046 10.610 Å, 76.41 76.83 65.69°
Fractional coordinates of all 36 atoms:
Ga: 0.805 0.167 0.176
Ga: 0.567 0.704 0.578
Ga: 0.195 0.833 0.824
Ga: 0.433 0.296 0.422
Rh: 0.000 0.500 0.500
Rh: 0.500 0.000 0.000
C: 0.008 0.695 0.488
C: 0.971 0.472 0.692
C: 0.361 0.207 0.981
C: 0.644 0.060 0.866
C: 0.029 0.528 0.308
C: 0.992 0.305 0.512
C: 0.356 0.940 0.134
C: 0.639 0.793 0.019
Cl: 0.656 0.809 0.679
Cl: 0.344 0.191 0.321
Cl: 0.382 0.528 0.344
Cl: 0.635 0.743 0.367
Cl: 0.885 0.936 0.156
Cl: 0.365 0.257 0.633
Cl: 0.312 0.830 0.602
Cl: 0.688 0.170 0.398
Cl: 0.024 0.754 0.824
Cl: 0.115 0.064 0.844
Cl: 0.360 0.687 0.947
Cl: 0.640 0.313 0.053
Cl: 0.976 0.246 0.176
Cl: 0.618 0.472 0.656
O: 0.987 0.192 0.522
O: 0.281 0.327 0.968
O: 0.726 0.096 0.786
O: 0.274 0.904 0.214
O: 0.013 0.808 0.478
O: 0.719 0.673 0.032
O: 0.954 0.452 0.804
O: 0.046 0.548 0.196



Entry 12:
LiEr4H4Cl4: optimized geometry, GGA-PBE.

Values from the calculation:
* DFT formation energy: -1418 meV/atom
* crystal system: trigonal

Cell: 18.842 18.842 18.842 Å, 11.26 11.26 11.26°
Fractional coordinates of all 13 atoms:
Li: 0.000 0.000 0.000
Er: 0.393 0.393 0.393
Er: 0.891 0.891 0.891
Er: 0.109 0.109 0.109
Er: 0.607 0.607 0.607
H: 0.432 0.432 0.432
H: 0.932 0.932 0.932
H: 0.068 0.068 0.068
H: 0.568 0.568 0.568
Cl: 0.805 0.805 0.805
Cl: 0.307 0.307 0.307
Cl: 0.693 0.693 0.693
Cl: 0.195 0.195 0.195